# 1
A plane-wave DFT calculation with PBE+U was carried out for crystalline Mn6O5F7 at its relaxed geometry.

Cell and atoms, written as extended XYZ:
```
36
Lattice="4.6567 0.0022 0.0355 0.0029 5.7314 -0.0078 0.1102 -0.0216 15.6616" Properties=species:S:1:pos:R:3 pbc="T T T"
F 3.5583 3.4937 13.5945
Mn 2.3773 1.9172 9.2137
O 1.1473 0.6587 15.2041
Mn 0.0906 0.8924 11.6229
O 1.0229 5.0849 2.0982
O 1.0841 0.6256 9.9703
O 1.4310 2.2333 7.5270
Mn 0.0584 4.8331 3.8037
O 3.3170 3.5323 3.1312
F 1.2024 3.4158 4.8861
Mn 0.3181 0.8981 6.4843
F 3.6019 5.0206 5.6257
F 1.1238 2.2211 2.2937
F 3.6422 0.6815 13.3414
F 3.5638 3.5509 8.3894
O 1.1388 5.0898 12.5246
F 1.3436 2.2376 12.8806
Mn 2.4034 3.7012 11.7918
F 1.3956 3.5608 15.4095
Mn 0.0214 0.8474 1.2074
F 1.2453 3.4683 10.0970
Mn 2.3834 3.7600 1.4549
Mn 2.3230 3.7334 6.6535
O 1.1498 5.0890 7.4082
Mn 0.2741 4.9122 14.2308
F 3.6574 0.7185 8.1279
Mn 0.1783 4.9238 9.0624
O 3.3602 2.1803 0.5535
F 3.5989 4.9918 10.7047
F 3.5174 0.6676 2.9195
F 3.5618 5.0440 0.2090
F 3.5074 2.2163 5.7253
O 1.1104 0.6063 4.7154
O 3.3727 2.1319 10.9069
Mn 2.4722 1.9052 14.5851
Mn 2.3315 1.9661 3.9474
```

Computed properties:
The calculation puts the theoretical density at 4.3 g cm⁻³. As for the symmetry: No. 1. The uncorrected energy is -6.650 eV/atom. The energy above the most stable polymorph in this dataset is 36.6 meV per atom.

---

# 2
A plane-wave DFT calculation with PBE+U was carried out for crystalline LiNiBO3 at its relaxed geometry.

Cell and atoms, written as extended XYZ:
```
24
Lattice="-0.2042 0.0000 3.0934 8.9615 0.0000 0.2877 0.0000 9.4191 0.0000" Properties=species:S:1:pos:R:3 pbc="T T T"
Ni 6.9470 0.5705 0.9923
O 7.0907 8.6644 2.5529
B 3.5096 6.6180 0.8893
B 7.8882 7.5107 2.5799
B 0.8690 1.9086 0.8010
O 1.5449 3.1307 0.7830
O 2.7121 5.4643 0.8623
Li 7.6251 2.7390 2.5818
O 1.6665 0.7550 0.8285
Li 3.2465 1.9705 0.8912
O 4.8738 6.6064 0.8874
O 2.8336 7.8403 0.9078
O 5.9236 1.5789 2.4736
Ni 2.3642 4.1391 2.3951
O 6.0451 3.9546 2.5191
Li 1.1320 6.6803 0.7993
Li 5.5107 7.4484 2.4898
O 0.2909 7.5223 2.2903
Ni 1.8105 8.8493 2.3890
O 8.4663 1.8974 1.0907
Ni 6.3934 5.2793 0.9861
B 5.2476 2.8009 2.4916
O 7.2122 6.2884 2.5984
O 3.8835 2.8122 2.4936
```

Computed properties:
The calculation puts the theoretical density at 3.2 g cm⁻³. As for the symmetry: No. 14. The uncorrected energy is -6.266 eV/atom. The energy above the most stable polymorph in this dataset is 52.2 meV per atom.

---

# 3
A plane-wave DFT calculation with PBE+U was carried out for crystalline Li2TiNi2O5 at its relaxed geometry.

Cell and atoms, written as extended XYZ:
```
20
Lattice="-7.1368 0.8502 -2.9924 3.6989 -2.1492 6.5046 -1.2727 4.1160 2.7520" Properties=species:S:1:pos:R:3 pbc="T T T"
Li -1.6773 -0.6610 1.7926
Ti -1.1904 1.0860 4.1531
O 0.3207 2.1629 4.8299
O -2.8673 0.0869 3.3723
Li 0.4410 -1.2474 3.6492
O -0.7434 -0.5328 5.1926
Li 0.8909 0.5099 5.9773
Ti -3.8454 -0.0609 -0.1077
O -1.7736 2.7108 2.9531
Ni 3.0533 -0.0886 7.8725
Ni -3.4573 1.7135 2.1663
Ni -6.0512 0.5497 -2.0409
O -2.3937 1.7574 5.5282
Li -5.6044 2.3079 0.2844
O -4.9608 0.5945 1.3207
O -0.1865 0.4699 2.6032
O -4.6737 2.4784 3.6837
O -2.3473 0.9781 0.5556
Ni 2.6139 -1.8488 5.5536
O -4.0514 3.4132 1.1733
```

Computed properties:
The calculation puts the theoretical density at 4.8 g cm⁻³. As for the symmetry: No. 5. The uncorrected energy is -6.178 eV/atom. The energy above the most stable polymorph in this dataset is 8.2 meV per atom.

---

# 4
A plane-wave DFT calculation with PBE+U was carried out for crystalline Li4Cr3Co3Ni2O16 at its relaxed geometry.

Cell and atoms, written as extended XYZ:
```
28
Lattice="2.8838 4.9790 0.0000 -2.8838 4.9790 0.0000 0.0000 0.0015 9.5645" Properties=species:S:1:pos:R:3 pbc="T T T"
Co -1.4253 4.1424 6.8240
O 1.5150 4.1741 1.0467
O -1.5150 4.1741 1.0467
O 1.2773 7.3984 3.1461
Cr 1.4282 5.8145 2.0509
O 0.0000 4.7977 7.8869
Co 0.0000 8.2718 2.0485
O 0.0000 6.6651 0.9954
Li 0.0000 9.9071 9.5305
Ni 0.0000 3.3188 9.4625
Ni 0.0000 6.6388 4.7010
O 0.0000 1.5877 1.0320
O 0.0000 9.9095 7.7632
Li 0.0000 3.3547 3.7897
Li 0.0000 9.9121 4.7715
Cr -1.4282 5.8145 2.0509
O 0.0000 5.1628 3.1446
Co 1.4253 4.1424 6.8240
O 0.0000 9.9090 3.0089
O 1.5085 5.7593 5.8228
O 1.2924 2.6006 7.9069
O 0.0000 3.3596 5.8090
Cr 0.0000 1.6806 6.8334
O -1.2773 7.3984 3.1461
O 0.0000 8.3745 5.8616
O -1.5085 5.7593 5.8228
O -1.2924 2.6006 7.9069
Li 0.0000 6.6724 8.5271
```

Computed properties:
The calculation puts the theoretical density at 4.4 g cm⁻³. As for the symmetry: No. 8. The uncorrected energy is -6.059 eV/atom.

---

# 5
A plane-wave DFT calculation with PBE+U was carried out for crystalline K2Mn3P4H4O12 at its relaxed geometry.

Cell and atoms, written as extended XYZ:
```
50
Lattice="5.5074 0.0000 0.0002 2.7526 1.5887 -23.9655 -2.7537 4.7695 0.0001" Properties=species:S:1:pos:R:3 pbc="T T T"
O 1.4770 5.5055 -19.6264
O 4.0450 2.3351 -13.4542
K -0.0022 3.1785 -5.2578
Mn 2.7532 1.5889 -20.9288
O 1.4614 4.0232 -10.5103
O 4.0302 2.3264 -7.6436
P 2.7537 1.5895 -8.0996
K 5.5084 3.1797 -18.7068
O 4.0449 4.0232 -10.5102
O 1.2923 3.9257 -1.4717
H 2.7530 1.5893 -11.6297
O 4.2147 2.4328 -22.4912
Mn -0.0002 3.1799 -11.9803
P 2.7525 4.7687 -15.8649
P 5.5064 3.1785 -22.9070
O 1.4770 0.8530 -4.3416
P -0.0001 3.1796 -1.0576
P 2.7530 1.5895 -3.8837
H 2.7532 4.7689 -12.3351
O 0.0000 4.8850 -7.6438
O -1.2924 3.9257 -1.4718
H 2.7525 4.7684 -23.6137
H 2.7530 1.5896 -2.4757
H 2.7525 4.7687 -14.4575
H 2.7532 4.7686 -21.4900
H 2.7537 1.5895 -9.5069
O 1.4772 2.3266 -7.6439
O 4.0289 4.0317 -16.3208
O 5.5070 1.4910 -10.5104
O -0.0007 4.8671 -13.4542
O 6.7979 2.4328 -22.4910
O 5.5063 1.4731 -16.3210
O 4.0295 5.5054 -19.6261
O 2.7531 3.0630 -4.3413
Mn 5.5064 3.1790 -15.0183
O 5.5064 4.6698 -22.4910
H 2.7537 1.5898 -0.3518
O 4.0291 0.8527 -4.3412
O 1.4612 2.3351 -13.4543
Mn -0.0001 3.1794 -8.9474
K 2.7552 4.7701 -6.7251
Mn 2.7526 1.5887 -23.9605
P 2.7532 4.7690 -10.9256
Mn 2.7533 4.7692 -3.0449
O -0.0002 1.6873 -1.4717
O 2.7532 3.2948 -19.6264
K 2.7510 1.5881 -17.2407
P 2.7533 4.7686 -20.0826
P 2.7531 1.5893 -13.0394
O 1.4762 4.0319 -16.3213
```

Computed properties:
The calculation puts the theoretical density at 3.0 g cm⁻³. The uncorrected energy is -6.556 eV/atom.

---

# 6
A plane-wave DFT calculation with PBE+U was carried out for crystalline Y5Mo2O12 at its relaxed geometry.

Cell and atoms, written as extended XYZ:
```
19
Lattice="3.4693 -4.8312 -3.3854 5.7514 -3.2956 1.7023 -2.1541 -6.6485 2.9729" Properties=species:S:1:pos:R:3 pbc="T T T"
O 1.3703 -7.0130 -0.1562
O 4.7357 -11.0994 2.9031
O 3.5713 -11.8829 0.3073
Y 3.5333 -7.3876 0.6449
Y 0.4222 -5.8363 1.5721
O 2.5214 -6.2384 2.4101
Mo 4.1119 -4.3988 -1.9529
O 2.8891 -9.3377 1.5224
Y 5.7427 -12.0803 1.0702
Y 1.3239 -2.6949 0.2195
O 3.4953 -2.8923 0.9825
O 8.8232 -9.3333 -1.1407
O 4.1775 -5.4375 -0.2327
Mo 5.1089 -3.7280 0.2698
O 2.3309 -3.6758 -1.6134
Y 6.6444 -8.9389 -0.2824
O -1.7566 -5.4419 2.4304
O 5.6963 -7.7623 1.4459
O 4.5452 -8.5368 -1.1203
```

Computed properties:
The calculation puts the theoretical density at 5.3 g cm⁻³. As for the symmetry: No. 12. The uncorrected energy is -8.515 eV/atom.

---

# 7
A plane-wave DFT calculation with PBE+U was carried out for crystalline Li2Mn2FeO6 at its relaxed geometry.

Cell and atoms, written as extended XYZ:
```
33
Lattice="-4.8217 -2.3876 -3.8814 3.4676 -0.1601 -5.6921 1.7850 -8.2381 -2.0029" Properties=species:S:1:pos:R:3 pbc="T T T"
Fe 2.4095 -7.3518 -5.2034
Fe 0.2154 -5.3929 -5.7882
Mn -2.5763 -6.1311 -5.1791
O 2.4319 -2.4715 -6.0538
Li 3.8622 -8.7634 -7.4046
O -1.6639 -1.8938 -2.8311
Li -1.2778 -3.9331 -3.5295
O -0.0555 -7.1610 -9.3520
O -0.9416 -2.6587 -7.9693
O -2.0010 -8.3143 -5.5227
O -1.6185 -5.4671 -6.7167
O 2.0947 -8.8920 -8.7453
O 2.0493 -5.3186 -4.8598
O 0.4863 -3.6248 -2.2244
O 0.6247 -7.3224 -6.1658
Mn 0.0620 -1.7440 -1.8989
Mn 3.0072 -4.6547 -6.3974
Li -3.4313 -2.0223 -4.1719
Li 1.7086 -6.8526 -8.0470
O 1.3332 -4.6720 -7.3732
O 1.0700 -1.1500 -3.4500
O 3.5203 -6.8319 -6.7631
O -0.1938 -3.4633 -5.4107
Mn 0.7725 -2.7055 -6.9819
Mn 0.3689 -9.0418 -9.6776
Fe -1.9787 -3.4340 -6.3730
O -3.0894 -3.9539 -4.8134
Li 1.5419 -3.1812 -4.1577
O -0.9023 -6.1137 -4.2033
Mn -0.3416 -8.0803 -4.5946
Li -1.1111 -7.6046 -7.4188
O -0.6391 -9.6358 -8.1265
O 1.3725 -8.1271 -3.6072
```

Computed properties:
The calculation puts the theoretical density at 4.0 g cm⁻³. As for the symmetry: No. 2. The uncorrected energy is -6.574 eV/atom. The energy above the most stable polymorph in this dataset is 0.0 meV per atom.

---

# 8
A plane-wave DFT calculation with PBE+U was carried out for crystalline Rb3FeO3 at its relaxed geometry.

Cell and atoms, written as extended XYZ:
```
28
Lattice="-0.4028 -12.0643 -1.8252 7.2023 -0.2074 -0.2186 3.7432 -1.1665 6.8842" Properties=species:S:1:pos:R:3 pbc="T T T"
Fe 0.6170 -0.7630 0.9662
Rb 4.3741 -11.7566 0.0275
O 7.1407 -5.9403 5.3644
Rb 9.4360 -9.6206 4.9274
Rb 4.7537 -2.5437 0.0121
O 7.3747 -8.3387 3.1785
O 3.4019 -7.4979 -0.5240
O 6.8855 -11.1208 -1.1657
Rb 0.9256 -7.0807 0.8285
O 2.4630 -1.0172 1.0007
O 5.9138 -5.6227 0.2103
Rb 8.1904 -10.9466 1.5732
O 4.6288 -7.8155 4.6301
Rb 4.6656 -8.5584 2.0281
Rb 2.3522 -2.4916 3.2673
Rb 5.7889 -10.8946 4.8283
O 6.8769 -1.9731 2.0413
Fe 9.9256 -12.6752 3.8742
Rb 9.6170 -6.3575 4.0119
Rb 1.1066 -3.8176 -0.0870
Fe 6.4870 -7.7038 4.7200
O 3.6657 -11.4651 2.7991
O 3.1679 -5.0995 1.6619
O 3.6571 -2.3174 6.0061
Fe 4.0556 -5.7344 0.1205
O 8.0796 -12.4211 3.8397
Rb 5.8770 -4.8798 2.8123
Rb 6.1685 -1.6816 4.8129
```

Computed properties:
The calculation puts the theoretical density at 3.8 g cm⁻³. As for the symmetry: No. 14. The uncorrected energy is -4.699 eV/atom. The energy above the most stable polymorph in this dataset is 22.2 meV per atom.

---

# 9
A plane-wave DFT calculation with PBE+U was carried out for crystalline Li9Mn2Co5O16 at its relaxed geometry.

Cell and atoms, written as extended XYZ:
```
32
Lattice="-2.4311 -0.4624 -1.6913 -2.2598 -5.6100 2.1894 -9.3920 7.3105 9.9033" Properties=species:S:1:pos:R:3 pbc="T T T"
Mn -4.6820 -6.0606 0.5153
Li -7.0251 0.7410 3.8210
O -2.9777 -1.7977 -0.3719
O -3.3100 -2.0102 2.3612
Co -8.7084 2.5612 8.0195
O -4.3834 -4.9295 2.1008
Li -3.9072 -3.5803 3.6775
O -9.6801 6.1652 8.3427
Li -8.4922 2.6821 5.2559
O -5.8598 -2.6645 3.6227
O -10.8763 3.2186 7.9581
Li -7.1294 0.6160 6.5812
Li -3.6714 -3.3276 0.8037
Co -5.5498 -1.4905 5.1265
O -6.4630 2.0543 5.2630
O -7.6200 -0.8595 4.9617
Li -9.8408 -0.1546 7.7781
Li -4.2387 1.3597 2.6186
O -7.6139 -1.0551 7.8013
Mn -5.9594 3.4132 4.1450
O -4.0052 2.8230 4.1928
O -4.8455 -0.1794 3.9154
Co -11.3941 1.9072 9.2308
Li -10.1848 4.7634 6.7656
O -9.3913 1.2368 9.2823
O -9.1888 1.3884 6.6355
O -8.2509 3.8847 6.9831
O -10.9805 3.0662 10.8717
Co -2.6832 -0.6704 1.1629
O -4.7953 0.0187 0.9985
Co -5.3017 -1.3213 2.3108
Li -10.4060 4.5863 9.5865
```

Computed properties:
The calculation puts the theoretical density at 4.1 g cm⁻³. As for the symmetry: No. 1. The uncorrected energy is -5.789 eV/atom. The energy above the most stable polymorph in this dataset is 66.0 meV per atom.

---

# 10
A plane-wave DFT calculation with PBE+U was carried out for crystalline Li7Mn5O12 at its relaxed geometry.

Cell and atoms, written as extended XYZ:
```
48
Lattice="2.8717 0.0001 0.0000 -1.4358 7.1350 8.6702 1.4355 -7.5852 12.5446" Properties=species:S:1:pos:R:3 pbc="T T T"
Li 1.4354 -4.9011 11.3131
Mn -0.0002 -0.0738 10.7559
O 1.4364 3.6671 8.3179
Mn 1.4358 -2.9049 14.6405
O 1.4357 -3.8222 13.0599
Mn 2.8726 -5.0564 8.3630
O 2.8715 -1.7377 14.0421
Mn 2.8708 -0.4252 15.8303
O -0.0002 0.8435 12.3368
O 2.8718 -1.3168 8.9996
O 1.4366 -3.8912 7.6970
O -0.0005 1.1328 7.0880
O -0.0006 3.5385 11.1173
O -0.0004 3.4736 5.7633
O 1.4358 -1.6623 16.3974
Mn 1.4357 -2.5541 9.5665
Mn 1.4357 -7.4293 12.6955
Li -0.0005 2.4569 9.3700
O 0.0002 1.0685 1.7346
O 1.4357 0.7173 15.1321
Li 2.8715 -2.7087 12.2397
Mn -0.0007 4.4529 12.7005
O 2.8716 -3.9513 15.4362
Li 1.4357 0.0229 8.1508
Mn 1.4354 2.3036 6.4255
O 2.8718 -1.5315 19.6063
Li 2.8718 -3.0020 17.2457
Li 0.0002 1.9222 14.0833
Li 0.0006 2.1498 3.4820
O 2.8716 -6.3830 11.9030
Li 1.4355 2.1892 11.7269
O 1.4352 3.4051 13.4932
O 1.4347 0.9398 4.5333
Li 1.4352 4.6512 10.3002
O 1.4356 0.9725 9.9602
O 0.0008 0.9123 17.6996
Li 1.4359 -0.2699 13.1569
O 0.0004 6.1192 9.4167
Li 2.8716 -2.7829 6.6354
O 1.4357 -1.2412 11.3547
Li 1.4361 -0.0445 2.5509
O 2.8708 -1.5120 3.4342
Li 2.8716 -5.1681 13.6701
Mn -0.0005 4.8165 7.6271
O 1.4348 -1.4468 5.7897
Li 1.4359 -0.1960 18.7610
O 2.8721 -3.6961 10.2650
Mn 2.8702 -0.2106 5.2234
```

Computed properties:
The calculation puts the theoretical density at 3.8 g cm⁻³. As for the symmetry: No. 12. The uncorrected energy is -6.378 eV/atom. The energy above the most stable polymorph in this dataset is 27.4 meV per atom.

---

# 11
A plane-wave DFT calculation with PBE+U was carried out for crystalline Li9Mn2Co5O16 at its relaxed geometry.

Cell and atoms, written as extended XYZ:
```
32
Lattice="1.4497 10.5775 0.0000 -1.4497 10.5775 0.0000 0.0000 4.0868 9.4169" Properties=species:S:1:pos:R:3 pbc="T T T"
Co 0.0000 22.1920 2.4963
O 0.0000 7.1174 1.4315
O 0.0000 18.1242 7.9855
Co 0.0000 10.5775 0.0000
O 0.0000 20.7402 8.4961
O 0.0000 12.2793 6.7931
Li 0.0000 21.4313 6.3628
Li 0.0000 13.3845 0.6684
Li 0.0000 9.7769 4.0649
O 0.0000 15.0148 7.4522
O 0.0000 12.9624 2.6239
O 0.0000 4.5015 0.9208
O 0.0000 21.7222 4.2222
Li 0.0000 12.6208 4.7085
O 0.0000 10.2269 1.9648
Co 0.0000 6.8043 3.5833
O 0.0000 23.9043 9.0343
O 0.0000 16.1020 3.2907
Li 0.0000 5.9299 7.6377
Li 0.0000 11.8571 8.7485
Li 0.0000 19.3117 1.7792
O 0.0000 18.6606 3.7806
Li 0.0000 15.4648 5.3520
Li 0.0000 3.8103 3.0541
O 0.0000 1.3374 0.3826
Mn 0.0000 16.3879 1.2211
Co 0.0000 18.4374 5.8337
Co 0.0000 3.0497 6.9206
O 0.0000 9.1397 6.1262
O 0.0000 3.5194 5.1948
O 0.0000 6.5811 5.6363
Mn 0.0000 8.8537 8.1958
```

Computed properties:
The calculation puts the theoretical density at 4.2 g cm⁻³. As for the symmetry: No. 12. The uncorrected energy is -5.777 eV/atom. The energy above the most stable polymorph in this dataset is 77.2 meV per atom.

---

Q: Look up the theoretical density of the sixth one.
A: 5.3 g cm⁻³

---

Q: Among the records above, which one has the lowest uncorrected energy?
A: Y5Mo2O12

---

Q: Which of these has the highest uncorrected energy?
A: Rb3FeO3